No. 1
ScCuGe, optimized geometry, DFT meta-GGA r2SCAN; calculated formation energy = -0.7005 eV/atom; theoretical density = 6.22 Mg/m³; volume = 16.12 Å³/atom; SG = P-62m (189)
1.0
6.499 0.000 0.000
-3.249 5.628 0.000
0.000 0.000 3.967
Sc Cu Ge
3 3 3
direct
0.000 0.572 0.000 Sc
0.428 0.428 0.000 Sc
0.572 0.000 0.000 Sc
0.000 0.243 0.500 Cu
0.243 0.000 0.500 Cu
0.757 0.757 0.500 Cu
0.000 0.000 0.000 Ge
0.333 0.667 0.500 Ge
0.667 0.333 0.500 Ge

No. 2
SmCu2Ge2, optimized geometry, DFT meta-GGA r2SCAN; calculated formation energy = -0.5835 eV/atom; theoretical density = 8.22 Mg/m³; volume = 17.07 Å³/atom; SG = I4/mmm (139)
1.0
4.096 0.000 0.000
0.000 4.096 0.000
0.000 0.000 10.172
Sm Cu Ge
2 4 4
direct
0.000 0.000 0.000 Sm
0.500 0.500 0.500 Sm
0.000 0.500 0.250 Cu
0.000 0.500 0.750 Cu
0.500 0.000 0.250 Cu
0.500 0.000 0.750 Cu
0.000 0.000 0.378 Ge
0.000 0.000 0.622 Ge
0.500 0.500 0.122 Ge
0.500 0.500 0.878 Ge

No. 3
TbCu2Ge2, optimized geometry, DFT meta-GGA r2SCAN; calculated formation energy = -0.5645 eV/atom; theoretical density = 8.60 Mg/m³; volume = 16.66 Å³/atom; SG = I4/mmm (139)
1.0
4.032 0.000 0.000
0.000 4.032 0.000
0.000 0.000 10.251
Tb Cu Ge
2 4 4
direct
0.000 0.000 0.000 Tb
0.500 0.500 0.500 Tb
0.000 0.500 0.250 Cu
0.000 0.500 0.750 Cu
0.500 0.000 0.250 Cu
0.500 0.000 0.750 Cu
0.000 0.000 0.380 Ge
0.000 0.000 0.620 Ge
0.500 0.500 0.120 Ge
0.500 0.500 0.880 Ge

No. 4
Tb3Cu4Ge4, optimized geometry, DFT meta-GGA r2SCAN; calculated formation energy = -0.7028 eV/atom; theoretical density = 8.81 Mg/m³; volume = 17.50 Å³/atom; SG = Immm (71)
1.0
-2.096 3.307 6.944
2.096 -3.307 6.944
2.096 3.307 -6.944
Tb Cu Ge
3 4 4
direct
0.000 0.000 0.000 Tb
0.369 0.869 0.500 Tb
0.631 0.131 0.500 Tb
0.020 0.332 0.689 Cu
0.357 0.668 0.689 Cu
0.643 0.332 0.311 Cu
0.980 0.668 0.311 Cu
0.217 0.217 0.000 Ge
0.309 0.500 0.809 Ge
0.691 0.500 0.191 Ge
0.783 0.783 0.000 Ge

No. 5
Tm3Cu4Ge4, optimized geometry, DFT meta-GGA r2SCAN; calculated formation energy = -0.6835 eV/atom; theoretical density = 9.42 Mg/m³; volume = 16.86 Å³/atom; SG = C2/m (12)
1.0
7.145 -3.286 0.000
7.145 3.286 0.000
-1.190 0.000 3.949
Tm Cu Ge
3 4 4
direct
0.000 0.000 0.000 Tm
0.370 0.370 0.870 Tm
0.630 0.630 0.130 Tm
0.020 0.640 0.332 Cu
0.360 0.980 0.668 Cu
0.640 0.020 0.332 Cu
0.980 0.360 0.668 Cu
0.217 0.217 0.216 Ge
0.308 0.692 0.500 Ge
0.692 0.308 0.500 Ge
0.783 0.783 0.784 Ge

No. 6
U3Cu4Ge4, optimized geometry, DFT meta-GGA r2SCAN; calculated formation energy = -0.3660 eV/atom; theoretical density = 10.54 Mg/m³; volume = 18.03 Å³/atom; SG = Immm (71)
1.0
-2.184 3.259 6.965
2.184 -3.259 6.965
2.184 3.259 -6.965
U Cu Ge
3 4 4
direct
0.000 0.000 0.000 U
0.371 0.871 0.500 U
0.629 0.129 0.500 U
0.020 0.331 0.689 Cu
0.358 0.669 0.689 Cu
0.642 0.331 0.311 Cu
0.980 0.669 0.311 Cu
0.215 0.215 0.000 Ge
0.307 0.500 0.807 Ge
0.693 0.500 0.193 Ge
0.785 0.785 0.000 Ge

No. 7
YCu2Ge2, optimized geometry, DFT meta-GGA r2SCAN; calculated formation energy = -0.5512 eV/atom; theoretical density = 7.19 Mg/m³; volume = 16.69 Å³/atom; SG = I4/mmm (139)
1.0
4.031 0.000 0.000
0.000 4.031 0.000
0.000 0.000 10.274
Y Cu Ge
2 4 4
direct
0.000 0.000 0.000 Y
0.500 0.500 0.500 Y
0.000 0.500 0.250 Cu
0.000 0.500 0.750 Cu
0.500 0.000 0.250 Cu
0.500 0.000 0.750 Cu
0.000 0.000 0.381 Ge
0.000 0.000 0.619 Ge
0.500 0.500 0.119 Ge
0.500 0.500 0.881 Ge

No. 8
YbCu2Ge2, optimized geometry, DFT meta-GGA r2SCAN; calculated formation energy = -0.5018 eV/atom; theoretical density = 9.13 Mg/m³; volume = 16.20 Å³/atom; SG = I4/mmm (139)
1.0
3.960 0.000 0.000
0.000 3.960 0.000
0.000 0.000 10.330
Yb Cu Ge
2 4 4
direct
0.000 0.000 0.000 Yb
0.500 0.500 0.500 Yb
0.000 0.500 0.250 Cu
0.000 0.500 0.750 Cu
0.500 0.000 0.250 Cu
0.500 0.000 0.750 Cu
0.000 0.000 0.383 Ge
0.000 0.000 0.617 Ge
0.500 0.500 0.117 Ge
0.500 0.500 0.883 Ge

No. 9
Yb3Cu4Ge4, optimized geometry, DFT meta-GGA r2SCAN; calculated formation energy = -0.6794 eV/atom; theoretical density = 9.60 Mg/m³; volume = 16.73 Å³/atom; SG = Immm (71)
1.0
-2.055 3.283 6.822
2.055 -3.283 6.822
2.055 3.283 -6.822
Yb Cu Ge
3 4 4
direct
0.000 0.000 0.000 Yb
0.370 0.870 0.500 Yb
0.630 0.130 0.500 Yb
0.021 0.330 0.691 Cu
0.361 0.670 0.691 Cu
0.639 0.330 0.309 Cu
0.979 0.670 0.309 Cu
0.217 0.217 0.000 Ge
0.308 0.500 0.808 Ge
0.692 0.500 0.192 Ge
0.783 0.783 0.000 Ge

No. 10
Yb2CuGe6, optimized geometry, DFT meta-GGA r2SCAN; calculated formation energy = -0.3919 eV/atom; theoretical density = 8.32 Mg/m³; volume = 18.74 Å³/atom; SG = Amm2 (38)
1.0
4.032 0.000 0.000
0.000 1.984 10.541
0.000 -1.984 10.541
Yb Cu Ge
2 1 6
direct
0.000 0.000 0.000 Yb
0.000 0.336 0.336 Yb
0.500 0.780 0.780 Cu
0.000 0.603 0.603 Ge
0.000 0.719 0.719 Ge
0.500 0.101 0.101 Ge
0.500 0.219 0.219 Ge
0.500 0.461 0.461 Ge
0.500 0.889 0.889 Ge

No. 11
ZrCuGe2, optimized geometry, DFT meta-GGA r2SCAN; calculated formation energy = -0.5139 eV/atom; theoretical density = 7.56 Mg/m³; volume = 16.47 Å³/atom; SG = P4/nmm (129)
1.0
3.788 0.000 0.000
0.000 3.788 0.000
0.000 0.000 9.183
Zr Cu Ge
2 2 4
direct
0.250 0.250 0.237 Zr
0.750 0.750 0.763 Zr
0.250 0.750 0.500 Cu
0.750 0.250 0.500 Cu
0.250 0.250 0.670 Ge
0.250 0.750 0.000 Ge
0.750 0.250 0.000 Ge
0.750 0.750 0.330 Ge

No. 12
CuPHO4, optimized geometry, DFT meta-GGA r2SCAN; calculated formation energy = -1.6793 eV/atom; theoretical density = 3.25 Mg/m³; volume = 11.63 Å³/atom; SG = R-3 (148)
1.0
7.992 4.614 2.208
-7.992 4.614 2.208
0.000 -9.228 2.208
Cu P H O
6 6 6 24
direct
0.088 0.574 0.814 Cu
0.186 0.912 0.426 Cu
0.426 0.186 0.912 Cu
0.574 0.814 0.088 Cu
0.814 0.088 0.574 Cu
0.912 0.426 0.186 Cu
0.250 0.317 0.684 P
0.316 0.750 0.683 P
0.317 0.684 0.250 P
0.683 0.316 0.750 P
0.684 0.250 0.317 P
0.750 0.683 0.316 P
0.128 0.322 0.436 H
0.322 0.436 0.128 H
0.436 0.128 0.322 H
0.564 0.872 0.678 H
0.678 0.564 0.872 H
0.872 0.678 0.564 H
0.117 0.320 0.731 O
0.129 0.510 0.447 O
0.142 0.230 0.452 O
0.149 0.663 0.254 O
0.230 0.452 0.142 O
0.254 0.149 0.663 O
0.269 0.883 0.680 O
0.320 0.731 0.117 O
0.337 0.746 0.851 O
0.447 0.129 0.510 O
0.452 0.142 0.230 O
0.490 0.553 0.871 O
0.510 0.447 0.129 O
0.548 0.858 0.770 O
0.553 0.871 0.490 O
0.663 0.254 0.149 O
0.680 0.269 0.883 O
0.731 0.117 0.320 O
0.746 0.851 0.337 O
0.770 0.548 0.858 O
0.851 0.337 0.746 O
0.858 0.770 0.548 O
0.871 0.490 0.553 O
0.883 0.680 0.269 O

No. 13
Zn3Cu2H14S2O18, optimized geometry, DFT meta-GGA r2SCAN; calculated formation energy = -1.2325 eV/atom; theoretical density = 3.24 Mg/m³; volume = 9.06 Å³/atom; SG = P-1 (2)
1.0
5.364 0.000 0.000
0.040 6.331 0.000
0.079 0.852 10.398
Zn Cu H S O
3 2 14 2 18
direct
0.000 0.000 0.000 Zn
0.490 0.250 0.505 Zn
0.510 0.750 0.495 Zn
0.000 0.000 0.500 Cu
0.000 0.500 0.500 Cu
0.107 0.215 0.682 H
0.186 0.668 0.140 H
0.216 0.352 0.932 H
0.304 0.006 0.317 H
0.323 0.498 0.320 H
0.351 0.272 0.065 H
0.419 0.803 0.089 H
0.581 0.197 0.911 H
0.649 0.728 0.935 H
0.677 0.502 0.680 H
0.696 0.994 0.683 H
0.784 0.648 0.068 H
0.814 0.332 0.860 H
0.893 0.785 0.318 H
0.230 0.699 0.780 S
0.770 0.301 0.220 S
0.067 0.524 0.832 O
0.137 0.234 0.590 O
0.150 0.901 0.829 O
0.210 0.723 0.638 O
0.246 0.812 0.121 O
0.285 0.226 0.983 O
0.318 0.514 0.411 O
0.320 0.003 0.409 O
0.491 0.648 0.815 O
0.509 0.352 0.185 O
0.680 0.997 0.591 O
0.682 0.486 0.589 O
0.715 0.774 0.017 O
0.754 0.188 0.879 O
0.790 0.277 0.362 O
0.850 0.099 0.171 O
0.863 0.766 0.410 O
0.933 0.476 0.168 O

No. 14
Hf2Cu, optimized geometry, DFT meta-GGA r2SCAN; calculated formation energy = -0.1591 eV/atom; theoretical density = 12.64 Mg/m³; volume = 18.42 Å³/atom; SG = I4/mmm (139)
1.0
3.153 0.000 0.000
0.000 3.153 0.000
0.000 0.000 11.119
Hf Cu
4 2
direct
0.000 0.000 0.156 Hf
0.000 0.000 0.844 Hf
0.500 0.500 0.344 Hf
0.500 0.500 0.656 Hf
0.000 0.000 0.500 Cu
0.500 0.500 0.000 Cu

No. 15
Hf2InCu2, optimized geometry, DFT meta-GGA r2SCAN; calculated formation energy = -0.2858 eV/atom; theoretical density = 11.55 Mg/m³; volume = 17.22 Å³/atom; SG = P4_2/mnm (136)
1.0
7.161 0.000 0.000
0.000 7.161 0.000
0.000 0.000 6.716
Hf In Cu
8 4 8
direct
0.150 0.150 0.000 Hf
0.193 0.193 0.500 Hf
0.307 0.693 0.000 Hf
0.350 0.650 0.500 Hf
0.650 0.350 0.500 Hf
0.693 0.307 0.000 Hf
0.807 0.807 0.500 Hf
0.850 0.850 0.000 Hf
0.000 0.500 0.250 In
0.000 0.500 0.750 In
0.500 0.000 0.250 In
0.500 0.000 0.750 In
0.123 0.877 0.298 Cu
0.123 0.877 0.702 Cu
0.377 0.377 0.202 Cu
0.377 0.377 0.798 Cu
0.623 0.623 0.202 Cu
0.623 0.623 0.798 Cu
0.877 0.123 0.298 Cu
0.877 0.123 0.702 Cu

No. 16
Hf2CuOs, optimized geometry, DFT meta-GGA r2SCAN; calculated formation energy = -0.4970 eV/atom; theoretical density = 15.00 Mg/m³; volume = 16.90 Å³/atom; SG = Fm-3m (225)
1.0
6.467 0.000 0.000
0.000 6.467 0.000
0.000 0.000 6.467
Hf Cu Os
8 4 4
direct
0.250 0.250 0.250 Hf
0.250 0.250 0.750 Hf
0.250 0.750 0.250 Hf
0.250 0.750 0.750 Hf
0.750 0.250 0.250 Hf
0.750 0.250 0.750 Hf
0.750 0.750 0.250 Hf
0.750 0.750 0.750 Hf
0.000 0.000 0.000 Cu
0.000 0.500 0.500 Cu
0.500 0.000 0.500 Cu
0.500 0.500 0.000 Cu
0.000 0.000 0.500 Os
0.000 0.500 0.000 Os
0.500 0.000 0.000 Os
0.500 0.500 0.500 Os

No. 17
Hf2CuRe, optimized geometry, DFT meta-GGA r2SCAN; calculated formation energy = -0.3378 eV/atom; theoretical density = 14.75 Mg/m³; volume = 17.08 Å³/atom; SG = Fm-3m (225)
1.0
6.489 0.000 0.000
0.000 6.489 0.000
0.000 0.000 6.489
Hf Cu Re
8 4 4
direct
0.250 0.250 0.250 Hf
0.250 0.250 0.750 Hf
0.250 0.750 0.250 Hf
0.250 0.750 0.750 Hf
0.750 0.250 0.250 Hf
0.750 0.250 0.750 Hf
0.750 0.750 0.250 Hf
0.750 0.750 0.750 Hf
0.000 0.000 0.000 Cu
0.000 0.500 0.500 Cu
0.500 0.000 0.500 Cu
0.500 0.500 0.000 Cu
0.000 0.000 0.500 Re
0.000 0.500 0.000 Re
0.500 0.000 0.000 Re
0.500 0.500 0.500 Re

No. 18
HfTlCuS3, optimized geometry, DFT meta-GGA r2SCAN; calculated formation energy = -1.1637 eV/atom; theoretical density = 7.01 Mg/m³; volume = 21.42 Å³/atom; SG = Cmcm (63)
1.0
1.850 -7.134 0.000
1.850 7.134 0.000
0.000 0.000 9.738
Hf Tl Cu S
2 2 2 6
direct
0.000 0.000 0.000 Hf
0.000 0.000 0.500 Hf
0.256 0.744 0.750 Tl
0.744 0.256 0.250 Tl
0.461 0.539 0.250 Cu
0.539 0.461 0.750 Cu
0.059 0.941 0.250 S
0.380 0.620 0.049 S
0.380 0.620 0.451 S
0.620 0.380 0.549 S
0.620 0.380 0.951 S
0.941 0.059 0.750 S

No. 19
HfCuSi, optimized geometry, DFT meta-GGA r2SCAN; calculated formation energy = -0.6428 eV/atom; theoretical density = 10.02 Mg/m³; volume = 14.93 Å³/atom; SG = Pnma (62)
1.0
6.413 0.000 0.000
0.000 3.870 0.000
0.000 0.000 7.216
Hf Cu Si
4 4 4
direct
0.010 0.250 0.192 Hf
0.490 0.750 0.692 Hf
0.510 0.250 0.308 Hf
0.990 0.750 0.808 Hf
0.169 0.250 0.578 Cu
0.331 0.750 0.078 Cu
0.669 0.250 0.922 Cu
0.831 0.750 0.422 Cu
0.220 0.750 0.399 Si
0.280 0.250 0.899 Si
0.720 0.750 0.101 Si
0.780 0.250 0.601 Si

No. 20
Hf3Cu4Si2, optimized geometry, DFT meta-GGA r2SCAN; calculated formation energy = -0.5297 eV/atom; theoretical density = 10.48 Mg/m³; volume = 14.89 Å³/atom; SG = P-62m (189)
1.0
6.254 0.000 0.000
-3.127 5.416 0.000
0.000 0.000 3.956
Hf Cu Si
3 4 2
direct
0.000 0.587 0.000 Hf
0.413 0.413 0.000 Hf
0.587 0.000 0.000 Hf
0.000 0.000 0.000 Cu
0.000 0.247 0.500 Cu
0.247 0.000 0.500 Cu
0.753 0.753 0.500 Cu
0.333 0.667 0.500 Si
0.667 0.333 0.500 Si

No. 21
Hf2CuTc, optimized geometry, DFT meta-GGA r2SCAN; calculated formation energy = -0.3651 eV/atom; theoretical density = 12.70 Mg/m³; volume = 16.95 Å³/atom; SG = Fm-3m (225)
1.0
6.473 0.000 0.000
0.000 6.473 0.000
0.000 0.000 6.473
Hf Cu Tc
8 4 4
direct
0.250 0.250 0.250 Hf
0.250 0.250 0.750 Hf
0.250 0.750 0.250 Hf
0.250 0.750 0.750 Hf
0.750 0.250 0.250 Hf
0.750 0.250 0.750 Hf
0.750 0.750 0.250 Hf
0.750 0.750 0.750 Hf
0.000 0.000 0.000 Cu
0.000 0.500 0.500 Cu
0.500 0.000 0.500 Cu
0.500 0.500 0.000 Cu
0.000 0.000 0.500 Tc
0.000 0.500 0.000 Tc
0.500 0.000 0.000 Tc
0.500 0.500 0.500 Tc

Total DFT energy (no corrections) readings, ordered: -38.2; -82.1; -83.5; -200.3; -211.8; -342.7; -72.5; -88.5; -215.9; -170.7; -63.4; -58.9; -268.4; -101.6; -136.0; -156.1; -154.9; -140.3; -66.7; -201.2; -128.6 eV/f.u.